DFT (PBE-GGA) results for a geometry-optimized RbMnN2 structure.

Output
Its total energy is -6.98 eV per atom. The calculation puts the formation energy from the elements at -0.45 eV/atom.

```
RbMnN2
1.0
5.7046 0.0000 0.0000
0.0000 11.4117 0.0000
0.0000 0.0000 16.0906
Mn N Rb
16 32 16
Direct
0.7533 0.2500 0.9375 Mn
0.7467 0.7500 0.9375 Mn
0.2533 0.2500 0.5625 Mn
0.2501 0.0000 0.1875 Mn
0.7501 0.5000 0.8125 Mn
0.2501 0.5000 0.6875 Mn
0.7533 0.2500 0.4375 Mn
0.7467 0.7500 0.4375 Mn
0.2467 0.7500 0.0625 Mn
0.7501 0.0000 0.3125 Mn
0.2499 0.0000 0.6875 Mn
0.2533 0.2500 0.0625 Mn
0.2499 0.5000 0.1875 Mn
0.7499 0.0000 0.8125 Mn
0.2467 0.7500 0.5625 Mn
0.7499 0.5000 0.3125 Mn
0.0001 0.0000 0.7501 N
0.2491 0.6250 0.1250 N
0.5001 0.5000 0.2499 N
0.4946 0.7500 0.4989 N
0.9999 0.0000 0.2499 N
0.9999 0.5000 0.7499 N
0.5054 0.2500 0.5011 N
0.5001 0.0000 0.7499 N
0.2506 0.3750 0.1249 N
0.7506 0.3750 0.3751 N
0.0054 0.2500 0.4989 N
0.0054 0.2500 0.9989 N
0.7491 0.8750 0.8750 N
0.0001 0.5000 0.2501 N
0.5054 0.2500 0.0011 N
0.7494 0.6250 0.8751 N
0.7494 0.8750 0.3751 N
0.2491 0.8750 0.6250 N
0.7509 0.3750 0.8750 N
0.4999 0.0000 0.2501 N
0.2494 0.8750 0.1249 N
0.2494 0.6250 0.6249 N
0.2509 0.3750 0.6250 N
0.9946 0.7500 0.5011 N
0.7509 0.1250 0.3750 N
0.7491 0.6250 0.3750 N
0.4946 0.7500 0.9989 N
0.4999 0.5000 0.7501 N
0.2506 0.1250 0.6249 N
0.7506 0.1250 0.8751 N
0.9946 0.7500 0.0011 N
0.2509 0.1250 0.1250 N
0.7551 0.2501 0.1875 Rb
0.2449 0.7501 0.3125 Rb
0.7501 0.5001 0.0625 Rb
0.7499 0.0001 0.0625 Rb
0.2499 0.4999 0.9375 Rb
0.7449 0.7499 0.6875 Rb
0.2499 0.0001 0.4375 Rb
0.7501 0.9999 0.5625 Rb
0.2449 0.7499 0.8125 Rb
0.7551 0.2499 0.6875 Rb
0.2501 0.9999 0.9375 Rb
0.2551 0.2501 0.3125 Rb
0.2501 0.5001 0.4375 Rb
0.7449 0.7501 0.1875 Rb
0.7499 0.4999 0.5625 Rb
0.2551 0.2499 0.8125 Rb
```

DFT (PBE-GGA) results for a geometry-optimized ErCuSe2 structure.

Output
Its piezoelectric modulus e_max is 0.473 C/m². Its total energy is -5.11 eV per atom. The calculation puts the formation energy from the elements at -1.43 eV/atom.

```
ErCuSe2
1.0
1.9410 3.0098 -2.0328
-2.2033 -2.7953 -2.0713
-5.0490 3.6012 0.5109
Cu Se Er
1 2 1
Direct
0.6667 0.3333 0.8572 Cu
0.3333 0.6667 0.7672 Se
0.6667 0.3333 0.2544 Se
0.0000 0.0000 0.4932 Er
```

DFT (PBE-GGA) results for a geometry-optimized Ba19In9N9 structure.

Output
Its total energy is -4.11 eV per atom. The calculation puts the formation energy from the elements at -0.51 eV/atom.

```
Ba19In9N9
1.0
-8.0597 0.0000 0.0000
-0.0074 -10.2786 0.0000
3.9976 3.5414 29.0135
In Ba N
18 38 18
Direct
0.6191 0.3393 0.2357 In
0.4603 0.4643 0.3255 In
0.3619 0.3496 0.7232 In
0.3320 0.6665 0.0445 In
0.8684 0.4618 0.3255 In
0.4461 0.1304 0.8906 In
0.6418 0.6512 0.2773 In
0.7118 0.6654 0.0443 In
0.5551 0.8667 0.1102 In
0.5232 0.4019 0.0475 In
0.6677 0.3341 0.9550 In
0.3362 0.7799 0.6674 In
0.4743 0.5963 0.9519 In
0.6661 0.2201 0.3321 In
0.2872 0.3320 0.9555 In
0.3819 0.6612 0.7640 In
0.5413 0.5357 0.6742 In
0.1343 0.5373 0.6741 In
0.1067 0.0376 0.7649 Ba
0.6802 0.4184 0.8371 Ba
0.1600 0.4176 0.8374 Ba
0.2862 0.3497 0.5731 Ba
0.1631 0.8092 0.8723 Ba
0.9756 0.6262 0.9517 Ba
0.7711 0.9998 0.0001 Ba
0.9532 0.9465 0.3810 Ba
0.2128 0.6390 0.4251 Ba
0.9427 0.1275 0.8830 Ba
0.8379 0.1903 0.1278 Ba
0.1744 0.2029 0.3429 Ba
0.8853 0.6720 0.7706 Ba
0.8421 0.5812 0.1626 Ba
0.5724 0.0551 0.6193 Ba
0.7533 0.9961 0.5047 Ba
0.4761 0.3235 0.4637 Ba
0.7147 0.6504 0.4264 Ba
0.8622 0.3065 0.7176 Ba
0.2489 0.0042 0.4952 Ba
0.4287 0.9441 0.3806 Ba
0.5243 0.6789 0.5358 Ba
0.7860 0.3609 0.5747 Ba
0.2286 0.9991 0.0000 Ba
0.8927 0.9621 0.2352 Ba
0.1159 0.3274 0.2292 Ba
0.6614 0.0406 0.7654 Ba
0.7104 0.8103 0.8722 Ba
0.2900 0.1894 0.1275 Ba
0.9870 0.3219 0.4637 Ba
0.0482 0.0538 0.6189 Ba
0.3387 0.9596 0.2345 Ba
0.0573 0.8716 0.1173 Ba
0.8281 0.7965 0.6569 Ba
0.0241 0.3731 0.0480 Ba
0.1398 0.6933 0.2823 Ba
0.3226 0.5808 0.1627 Ba
0.0121 0.6768 0.5359 Ba
0.1521 0.9432 0.3072 N
0.9290 0.6014 0.8554 N
0.7903 0.8820 0.5802 N
0.4737 0.8089 0.4539 N
0.0733 0.3976 0.1444 N
0.9707 0.8919 0.9411 N
0.8485 0.0566 0.6925 N
0.9826 0.8092 0.4546 N
0.0181 0.1910 0.5459 N
0.0988 0.7448 0.1955 N
0.7514 0.5135 0.5063 N
0.9071 0.9099 0.8138 N
0.0290 0.1083 0.0587 N
0.2097 0.1163 0.4194 N
0.2450 0.4853 0.4930 N
0.5267 0.1899 0.5461 N
0.0924 0.0896 0.1861 N
0.9033 0.2539 0.8043 N
```

DFT (PBE-GGA) results for a geometry-optimized Rb2Pd3Se4 structure.

Output
Its total energy is -4.21 eV per atom. The calculation puts the formation energy from the elements at -0.92 eV/atom.

```
Rb2Pd3Se4
1.0
3.7302 -7.0307 12.9268
3.1878 -0.6173 14.0771
-4.8201 -4.0946 1.6582
Se Rb Pd
8 4 6
Direct
0.3465 0.0216 0.2293 Se
0.0147 0.3535 0.8988 Se
0.1032 0.7615 0.9862 Se
0.8985 0.2350 0.0278 Se
0.7543 0.1108 0.6597 Se
0.2332 0.8973 0.3491 Se
0.6547 0.9820 0.7582 Se
0.9865 0.6499 0.0991 Se
0.3017 0.3025 0.4522 Rb
0.4535 0.4465 0.2917 Rb
0.7015 0.6946 0.5460 Rb
0.5561 0.5479 0.6927 Rb
0.1310 0.1179 0.1268 Pd
0.3797 0.3715 0.8678 Pd
0.1211 0.1254 0.6225 Pd
0.8749 0.8723 0.8803 Pd
0.8842 0.8683 0.3718 Pd
0.6186 0.6321 0.1329 Pd
```

DFT (PBE-GGA) results for a geometry-optimized Li3InF6 structure.

Output
Its total energy is -4.50 eV per atom. The calculation puts the formation energy from the elements at -2.78 eV/atom.

```
Li3InF6
1.0
-4.9231 -1.1294 -2.6922
-4.9621 1.7429 2.2584
-2.9423 4.2364 -2.4811
F In Li
6 1 3
Direct
0.2561 0.2561 0.7439 F
0.7439 0.2561 0.7439 F
0.2561 0.7439 0.7439 F
0.7439 0.7439 0.2561 F
0.2561 0.7439 0.2561 F
0.7439 0.2561 0.2561 F
0.0000 0.0000 0.0000 In
0.2500 0.2500 0.2500 Li
0.7500 0.7500 0.7500 Li
0.5000 0.5000 0.5000 Li
```

DFT (PBE-GGA) results for a geometry-optimized NbCo3 structure.

Output
Its total energy is -7.95 eV per atom. The calculation puts the formation energy from the elements at -0.09 eV/atom.

```
NbCo3
1.0
2.3598 -4.0873 0.0000
2.3598 4.0873 0.0000
0.0000 0.0000 15.4717
Co Nb
18 6
Direct
0.6667 0.3333 0.8723 Co
0.1648 0.3295 0.2504 Co
0.8352 0.1648 0.7504 Co
0.3333 0.6667 0.3723 Co
0.3333 0.6667 0.8482 Co
0.3295 0.1648 0.7504 Co
0.5003 0.0005 0.4986 Co
0.6667 0.3333 0.3482 Co
0.8352 0.6705 0.7504 Co
0.0005 0.5003 0.9986 Co
0.6667 0.3333 0.6237 Co
0.6705 0.8352 0.2504 Co
0.5003 0.4997 0.4986 Co
0.4997 0.5003 0.9986 Co
0.3333 0.6667 0.1237 Co
0.1648 0.8352 0.2504 Co
0.4997 0.9995 0.9986 Co
0.9995 0.4997 0.4986 Co
0.0000 0.0000 0.8998 Nb
0.0000 0.0000 0.5898 Nb
0.3333 0.6667 0.6691 Nb
0.6667 0.3333 0.1691 Nb
0.0000 0.0000 0.0898 Nb
0.0000 0.0000 0.3998 Nb
```

| no. | volume (Å³/cell) |
| --- | --- |
| 1 | 1047.48 |
| 2 | 91.39 |
| 3 | 2403.54 |
| 4 | 518.22 |
| 5 | 132.59 |
| 6 | 298.46 |